Entry 1:
40
Lattice="7.543 0.000 0.000 0.000 12.115 -0.089 0.000 4.015 11.952" Properties=species:S:1:pos:R:3 comment="K3TiCl6 r²SCAN relaxed" magnetic_moment_mub_per_cell=4.00 energy_ev_per_atom=-8.867 spacegroup="P2_1/c (14)" pbc="T T T"
K 3.240 7.951 9.768
K 7.012 2.121 2.139
K 4.303 8.179 2.095
K 0.531 14.008 9.724
K 4.254 12.190 9.691
K 0.482 9.996 2.128
K 3.290 3.939 2.172
K 7.061 6.133 9.735
K 4.022 12.041 4.730
K 0.251 10.146 7.089
K 3.521 4.089 7.133
K 7.292 5.983 4.775
Ti 0.000 6.057 -0.044
Ti 3.772 0.000 0.000
Ti 0.000 2.007 5.976
Ti 3.772 8.065 5.932
Cl 1.514 6.729 1.694
Cl 5.285 15.458 10.125
Cl 6.029 9.400 10.169
Cl 2.258 0.672 1.738
Cl 1.566 10.728 10.121
Cl 5.338 11.459 1.698
Cl 5.977 5.401 1.742
Cl 2.205 4.671 10.166
Cl 6.540 12.326 11.880
Cl 2.768 9.861 -0.061
Cl 1.004 3.804 -0.017
Cl 4.775 6.268 11.924
Cl 2.065 13.349 7.069
Cl 5.837 8.838 4.750
Cl 5.478 2.780 4.794
Cl 1.707 7.292 7.113
Cl 0.067 12.183 4.512
Cl 3.839 10.004 7.306
Cl 7.476 3.947 7.351
Cl 3.704 6.125 4.557
Cl 5.152 6.808 7.506
Cl 1.380 3.264 4.402
Cl 2.391 9.322 4.357
Cl 6.163 12.865 7.461

Entry 2:
9
Lattice="6.007 0.000 3.468 2.002 5.663 3.468 0.000 0.000 6.936" Properties=species:S:1:pos:R:3 comment="K2TiCl6 r²SCAN relaxed" magnetic_moment_mub_per_cell=0.00 energy_ev_per_atom=-8.867 spacegroup="Fm-3m (225)" pbc="T T T"
K 2.002 1.416 3.468
K 6.007 4.247 10.404
Ti 0.000 0.000 0.000
Cl 2.960 4.309 8.745
Cl 2.960 4.309 5.127
Cl 5.049 1.355 8.745
Cl 5.049 1.355 5.127
Cl 6.093 4.309 6.936
Cl 1.916 1.355 6.936

Entry 3:
16
Lattice="-4.080 -2.398 7.660 -6.752 -3.621 -4.730 8.486 -2.570 -1.576" Properties=species:S:1:pos:R:3 comment="KTlCl2 r²SCAN relaxed" magnetic_moment_mub_per_cell=0.00 energy_ev_per_atom=-19.512 spacegroup="Fd-3m (227)" pbc="T T T"
K -6.337 -5.309 0.254
K -2.961 -3.499 2.620
K 1.282 -4.784 1.831
K 3.323 -3.585 -1.999
Tl -0.921 -2.300 -1.210
Tl -4.297 -4.110 -3.576
Tl -0.053 -5.396 -4.364
Tl -2.094 -6.595 -0.534
Cl -0.258 -2.043 1.931
Cl -2.249 -3.214 5.672
Cl 3.971 -3.335 1.070
Cl -5.664 -4.955 3.308
Cl 0.673 -5.104 -1.239
Cl -3.672 -3.784 -0.433
Cl -1.406 -6.233 2.593
Cl 1.892 -4.465 4.902

Entry 4:
16
Lattice="0.834 -6.528 0.813 2.010 -4.025 -4.871 11.659 -0.314 2.274" Properties=species:S:1:pos:R:3 comment="KWCl6 r²SCAN relaxed" magnetic_moment_mub_per_cell=2.00 energy_ev_per_atom=-13.078 spacegroup="C2/c (15)" pbc="T T T"
K 9.676 -6.555 2.044
K 4.827 -4.311 -3.829
W 8.257 -7.445 -3.327
W 12.664 -2.326 -0.162
Cl 8.798 -6.053 -1.558
Cl 5.705 -4.813 -0.227
Cl 11.773 -4.463 -0.241
Cl 2.730 -6.403 -1.542
Cl 8.511 -3.533 0.940
Cl 5.993 -7.333 -2.724
Cl 11.576 -8.013 -0.399
Cl 2.927 -2.853 -1.385
Cl 2.832 -8.872 -3.719
Cl 11.671 -1.995 1.935
Cl 5.975 -1.554 0.153
Cl 8.529 -9.312 -1.937

Entry 5:
26
Lattice="4.672 -8.082 0.015 4.672 8.083 0.015 0.029 0.000 8.571" Properties=species:S:1:pos:R:3 comment="KW3Cl9 r²SCAN relaxed" magnetic_moment_mub_per_cell=6.00 energy_ev_per_atom=-17.656 spacegroup="C2 (5)" pbc="T T T"
K 4.686 2.691 4.299
K 4.686 -2.693 4.302
W 7.687 0.000 7.409
W 0.872 -1.460 7.377
W 8.500 1.461 1.224
W 1.686 -0.001 1.193
W 0.873 1.460 7.378
W 8.500 -1.460 1.225
Cl 1.883 -3.212 5.943
Cl 5.664 -0.001 5.973
Cl 2.946 -1.666 8.559
Cl 6.426 -1.665 0.043
Cl 4.671 4.724 0.016
Cl 6.470 1.692 8.592
Cl 3.738 -6.414 5.831
Cl 5.648 6.390 2.753
Cl 7.488 -3.211 2.660
Cl 7.489 3.212 2.658
Cl 1.884 3.211 5.944
Cl 3.708 -0.003 2.628
Cl 3.724 6.391 5.849
Cl 2.903 1.691 0.010
Cl 4.673 -4.723 0.015
Cl 1.968 0.000 5.821
Cl 5.635 -6.414 2.771
Cl 7.405 0.000 2.781

Entry 6:
40
Lattice="0.001 7.711 0.000 0.181 -0.001 12.661 12.300 -3.854 -1.944" Properties=species:S:1:pos:R:3 comment="K3YCl6 r²SCAN relaxed" magnetic_moment_mub_per_cell=0.00 energy_ev_per_atom=-9.894 spacegroup="C2/c (15)" pbc="T T T"
K 10.892 2.064 -1.051
K 1.591 1.792 11.767
K 1.499 5.919 5.437
K 10.984 -2.063 5.279
K 8.567 1.376 3.128
K 3.915 2.480 7.588
K 3.826 5.232 1.258
K 8.656 -1.376 9.458
K 4.062 1.382 3.277
K 8.421 2.474 7.439
K 8.331 -2.477 1.110
K 4.151 6.333 9.606
Y 0.046 1.466 3.165
Y 12.436 2.390 7.551
Y 6.150 1.928 -0.972
Y 6.241 -1.927 5.358
Cl 8.150 0.296 -0.375
Cl 4.332 3.560 11.091
Cl 4.241 4.153 4.760
Cl 8.241 -0.297 5.956
Cl 1.727 3.135 2.013
Cl 10.756 0.721 8.703
Cl 10.665 -0.721 2.372
Cl 1.817 4.577 8.343
Cl 4.319 0.194 -0.260
Cl 8.163 3.662 10.976
Cl 8.072 4.048 4.646
Cl 4.411 -0.192 6.070
Cl 1.768 0.529 8.851
Cl 10.714 3.327 1.865
Cl 10.800 -3.328 8.194
Cl 1.682 7.184 2.521
Cl 1.351 1.586 5.428
Cl 11.131 2.270 5.288
Cl 11.042 -2.269 -1.042
Cl 1.441 6.126 11.758
Cl 6.183 2.948 1.487
Cl 6.300 0.908 9.229
Cl 6.210 -0.906 2.899
Cl 6.272 4.762 7.817